Density functional theory data (GGA-PBE) for an optimized crystal structure of KZnCuTe2.

Calculated volume, Å³ per atom: 27.9
Total magnetic moment, μB per cell: 0.00
Corrected total energy (MP2020 scheme), eV per atom: -3.235
Formation energy, eV per atom: -0.68
Uncorrected energy, eV per cell: -15.33

Unit cell a=8.129 b=8.129 c=8.129 alpha=149.29 beta=149.29 gamma=43.98
Atoms (fractional coordinates):
K 0.000 0.000 0.000
Zn 0.750 0.250 0.500
Cu 0.250 0.750 0.500
Te 0.359 0.359 0.000
Te 0.641 0.641 0.000


Density functional theory data (GGA-PBE) for an optimized crystal structure of Na12Nb2Zn4Si6S3O36.

Calculated volume, Å³ per atom: 13.0
Total magnetic moment, μB per cell: 0.00
Corrected total energy (MP2020 scheme), eV per atom: -6.638
Formation energy, eV per atom: -2.44
Uncorrected energy, eV per cell: -786.96

Unit cell a=9.222 b=9.222 c=22.182 alpha=90.00 beta=90.00 gamma=60.07
Atoms (fractional coordinates):
Na 0.129 0.871 0.500
Na 0.136 0.499 0.992
Na 0.171 0.181 0.407
Na 0.180 0.534 0.653
Na 0.181 0.171 0.907
Na 0.184 0.820 0.163
Na 0.186 0.460 0.328
Na 0.201 0.866 0.823
Na 0.459 0.862 0.322
Na 0.460 0.186 0.828
Na 0.499 0.136 0.492
Na 0.507 0.518 0.738
Na 0.507 0.894 0.996
Na 0.518 0.507 0.238
Na 0.526 0.799 0.667
Na 0.534 0.180 0.153
Na 0.799 0.526 0.167
Na 0.820 0.184 0.663
Na 0.823 0.858 0.076
Na 0.858 0.823 0.576
Na 0.862 0.459 0.822
Na 0.866 0.201 0.323
Na 0.871 0.129 0.000
Na 0.894 0.507 0.496
Nb 0.496 0.504 0.389
Nb 0.504 0.496 0.889
Nb 0.831 0.849 0.231
Nb 0.849 0.831 0.731
Zn 0.152 0.192 0.573
Zn 0.154 0.173 0.763
Zn 0.173 0.154 0.263
Zn 0.192 0.152 0.073
Zn 0.491 0.526 0.599
Zn 0.526 0.491 0.099
Zn 0.824 0.853 0.921
Zn 0.853 0.824 0.421
Si 0.130 0.545 0.836
Si 0.130 0.842 0.334
Si 0.170 0.882 0.663
Si 0.209 0.503 0.501
Si 0.474 0.871 0.163
Si 0.503 0.209 0.001
Si 0.542 0.841 0.834
Si 0.545 0.130 0.336
Si 0.841 0.542 0.334
Si 0.842 0.130 0.834
Si 0.871 0.474 0.663
Si 0.882 0.170 0.163
S 0.165 0.475 0.164
S 0.218 0.794 0.998
S 0.475 0.165 0.664
S 0.507 0.797 0.497
S 0.794 0.218 0.498
S 0.797 0.507 0.997
O 0.008 0.645 0.168
O 0.019 0.629 0.895
O 0.023 0.873 0.395
O 0.026 0.672 0.496
O 0.037 0.673 0.777
O 0.040 0.804 0.275
O 0.051 0.806 0.994
O 0.133 0.997 0.602
O 0.141 0.398 0.109
O 0.166 0.994 0.327
O 0.170 0.357 0.825
O 0.189 0.374 0.219
O 0.202 0.962 0.995
O 0.204 0.962 0.723
O 0.207 0.326 0.497
O 0.301 0.699 0.053
O 0.305 0.524 0.559
O 0.310 0.504 0.159
O 0.315 0.543 0.838
O 0.320 0.663 0.336
O 0.324 0.702 0.942
O 0.326 0.207 0.997
O 0.326 0.688 0.662
O 0.338 0.490 0.441
O 0.349 0.961 0.496
O 0.357 0.170 0.325
O 0.358 0.999 0.824
O 0.363 0.954 0.223
O 0.374 0.189 0.719
O 0.398 0.141 0.609
O 0.412 0.989 0.103
O 0.490 0.338 0.941
O 0.496 0.701 0.442
O 0.497 0.683 0.157
O 0.504 0.310 0.659
O 0.524 0.305 0.059
O 0.529 0.699 0.552
O 0.534 0.662 0.837
O 0.543 0.315 0.338
O 0.617 0.870 0.895
O 0.629 0.019 0.395
O 0.645 0.008 0.668
O 0.654 0.820 0.493
O 0.662 0.534 0.337
O 0.663 0.320 0.836
O 0.669 0.847 0.172
O 0.672 0.026 0.996
O 0.673 0.037 0.277
O 0.674 0.808 0.776
O 0.683 0.497 0.657
O 0.688 0.326 0.162
O 0.699 0.301 0.553
O 0.699 0.529 0.052
O 0.701 0.496 0.942
O 0.702 0.324 0.442
O 0.804 0.040 0.775
O 0.806 0.051 0.494
O 0.808 0.674 0.276
O 0.820 0.654 0.993
O 0.847 0.669 0.672
O 0.867 0.992 0.171
O 0.870 0.617 0.395
O 0.873 0.023 0.895
O 0.954 0.363 0.723
O 0.961 0.349 0.996
O 0.962 0.202 0.495
O 0.962 0.204 0.223
O 0.989 0.412 0.603
O 0.992 0.867 0.671
O 0.994 0.166 0.827
O 0.997 0.133 0.102
O 0.999 0.358 0.324


Density functional theory data (GGA-PBE) for an optimized crystal structure of K3InCl6.

Calculated volume, Å³ per atom: 33.3
Total magnetic moment, μB per cell: 0.00
Corrected total energy (MP2020 scheme), eV per atom: -3.674
Formation energy, eV per atom: -1.96
Uncorrected energy, eV per cell: -33.05

Unit cell a=7.781 b=7.781 c=7.781 alpha=60.00 beta=60.00 gamma=60.00
Atoms (fractional coordinates):
K 0.000 0.000 0.000
K 0.250 0.250 0.250
K 0.750 0.750 0.750
In 0.500 0.500 0.500
Cl 0.270 0.270 0.730
Cl 0.270 0.730 0.270
Cl 0.270 0.730 0.730
Cl 0.730 0.270 0.270
Cl 0.730 0.270 0.730
Cl 0.730 0.730 0.270


Q: Look up the uncorrected energy of the first one.
A: -15.33 eV per cell


Q: What is the total magnetic moment in the second record?
A: 0.00 μB per cell